The following is a DFT calculation (PBE) of CsLi2Br3 after structural relaxation.

Computed properties:
- E_form (meV/atom) = -1895
- energy (eV per atom) = -3.232
- MP2020-corrected energy (eV/atom) = -3.499

Cell: 4.692 5.703 13.558 Å, 90.00 90.00 90.00°
Space group Immm (No. 71)
Asymmetric unit:
Cs1 0.000 0.000 0.000 (multiplicity 2)
Li1 0.000 0.000 0.309 (multiplicity 4)
Br1 0.000 0.000 0.500 (multiplicity 2)
Br2 0.000 0.500 0.280 (multiplicity 4)